# 1
Ba8Mn8O21 after structural relaxation, computed with r²SCAN.

Cell: 9.4272 5.7059 9.9135 Å, 89.61 90.00 90.00°
Last column: nearest neighbours and their distance in Å.
Fractional positions:
Mn: 0.8566 0.0169 0.6645  5 O 1.87-2.00
Mn: 0.6419 0.5153 0.8305  5 O 1.88-2.01
Mn: 0.6374 0.9979 0.3325  6 O 1.92-1.95
Mn: 0.1461 0.4966 0.1662  5 O 1.92-1.99
Mn: 0.3626 0.9979 0.3325  6 O 1.92-1.95
Mn: 0.8539 0.4966 0.1662  5 O 1.92-1.99
Mn: 0.1434 0.0169 0.6645  5 O 1.87-2.00
Mn: 0.3581 0.5153 0.8305  5 O 1.88-2.01
O: 0.0000 0.7132 0.1145  2 Mn 1.92
O: 0.7379 0.2546 0.7597  2 Mn 1.88-2.00
O: 0.7620 0.7573 0.7371  2 Mn 1.87-2.01
O: 0.2484 0.7473 0.2566  2 Mn 1.95
O: 0.5000 0.0034 0.1866  2 Mn 1.94
O: 0.7506 0.2483 0.2564  2 Mn 1.93
O: 0.2380 0.7573 0.7371  2 Mn 1.87-2.01
O: 0.5000 0.4891 0.6890  2 Mn 1.94
O: 0.0000 0.2791 0.1166  2 Mn 1.92
O: 0.7516 0.7473 0.2566  2 Mn 1.95
O: 0.7428 0.4921 0.9955  2 Mn 1.90-1.99
O: 0.0000 0.9843 0.8028  2 Mn 1.93
O: 0.5000 0.7788 0.4041  2 Mn 1.93
O: 0.2494 0.2483 0.2564  2 Mn 1.93
O: 0.2500 0.9933 0.4935  2 Mn 1.92-1.98
O: 0.5000 0.2130 0.4062  2 Mn 1.93
O: 0.7500 0.9933 0.4935  2 Mn 1.92-1.98
O: 0.2572 0.4921 0.9955  2 Mn 1.90-1.99
O: 0.5000 0.7233 0.9094  2 Mn 1.96
O: 0.0000 0.2285 0.5820  2 Mn 1.99
O: 0.2621 0.2546 0.7597  2 Mn 1.88-2.00
Ba: 0.7198 0.4927 0.5045  9 O 2.76-2.87
Ba: 0.5000 0.9932 0.6659  11 O 2.84-2.91
Ba: 0.7627 0.9922 0.9991  11 O 2.81-3.10
Ba: 0.2373 0.9922 0.9991  11 O 2.81-3.10
Ba: 0.5000 0.5087 0.1659  11 O 2.81-2.93
Ba: 0.2802 0.4927 0.5045  9 O 2.76-2.87
Ba: 0.0000 0.0042 0.3345  9 O 2.66-2.87
Ba: 0.0000 0.4922 0.8351  11 O 2.82-3.05

Summary:
The symmetry is No. 6.

# 2
BaMn2O3 after structural relaxation, computed with r²SCAN.

Cell: 3.6294 4.3345 6.1777 Å, 110.50 107.07 90.02°
Last column: nearest neighbours and their distance in Å.
Fractional positions:
Ba: 0.5000 0.0000 0.0000  8 O 2.83-2.91
O: 0.7932 0.7932 0.5863  4 Mn 2.15-2.18
O: 0.0000 0.5000 0.0000  2 Mn 2.07
O: 0.2068 0.2068 0.4137  4 Mn 2.15-2.18
Mn: 0.1880 0.6883 0.3765  5 O 2.07-2.18
Mn: 0.8119 0.3117 0.6235  5 O 2.07-2.18

Summary:
The symmetry is No. 71.

no.,ΔE_f (eV/atom),total energy (eV/cell)
1,-2.57,-550.1
2,-2.24,-87.2